No. 1
This record from the Materials Project describes crystalline BaLiB9O15 at its relaxed geometry. The functional is GGA-PBE.

Cell and atoms, written as POSCAR:
```
BaLiB9O15
1.0
6.576 -5.589 0.000
6.576 5.589 0.000
1.826 0.000 8.435
Ba Li B O
2 2 18 30
Cartesian
0.000 0.000 0.000
7.489 0.000 4.218
11.234 0.000 6.327
3.745 0.000 2.109
7.364 -2.405 1.521
4.968 -2.649 2.062
7.615 2.405 6.914
5.621 1.880 0.901
11.609 -0.769 3.537
6.534 3.709 5.118
10.321 0.778 2.109
5.946 0.769 7.754
8.444 -3.709 3.317
9.098 2.940 2.156
6.702 3.184 2.696
3.370 0.769 4.899
8.277 -3.184 5.739
9.033 -0.769 0.681
9.357 -1.880 7.535
10.011 2.649 6.374
4.658 -0.778 6.327
5.881 -2.940 6.279
3.447 -1.590 6.550
7.944 -3.667 2.053
6.116 -1.929 2.175
7.950 3.660 2.043
9.111 1.590 2.333
12.059 -0.970 4.862
2.920 0.970 3.573
4.833 0.007 7.577
6.641 1.317 6.719
10.497 -0.007 3.359
8.857 -1.922 6.271
10.146 -0.007 0.859
11.234 1.941 6.327
10.409 -0.970 7.791
9.251 -4.273 5.934
4.482 0.007 5.076
8.338 -1.317 1.716
5.728 4.273 2.501
7.029 -3.660 6.393
7.079 -2.683 0.102
4.569 0.970 0.644
7.992 -2.906 4.320
6.987 2.906 4.116
11.531 1.590 1.885
3.745 -1.941 2.109
7.035 3.667 6.382
6.122 1.922 2.165
7.900 2.683 8.333
8.863 1.929 6.260
5.868 -1.590 6.103
```

Energy of formation from the pure elements = -2.94 eV per atom
Total magnetization = 0.000 μB/atom
DFT total energy = -7.8619 eV/atom


No. 2
This record from the Materials Project describes crystalline BaLiBS3 at its relaxed geometry. The functional is GGA-PBE.

Cell and atoms, written as POSCAR:
```
BaLiBS3
1.0
-7.104 -3.825 3.450
0.694 -5.782 -4.982
4.923 -6.811 2.585
Ba Li B S
4 4 4 12
Cartesian
2.931 -9.159 -1.186
-1.215 -6.661 -1.661
-4.418 -7.259 2.240
-0.273 -9.757 2.715
3.467 -6.347 1.755
0.007 -12.130 -0.622
-1.494 -4.288 1.676
-4.955 -10.071 -0.701
-0.909 -13.943 1.440
-2.077 -9.842 -0.480
0.590 -6.576 1.534
-0.579 -2.475 -0.386
1.547 -6.341 0.005
-1.802 -13.772 -0.156
0.315 -2.646 1.210
-3.035 -10.077 1.049
1.449 -6.766 3.147
-2.102 -11.915 4.441
0.615 -4.503 -3.387
-1.228 -6.714 1.528
-2.016 -3.529 -0.753
-0.260 -9.705 -0.474
0.528 -12.889 1.807
-2.936 -9.653 -2.093
```

Energy of formation from the pure elements = -1.53 eV per atom
Total magnetization = 0.000 μB/atom
DFT total energy = -5.1018 eV/atom


No. 3
This record from the Materials Project describes crystalline Ba3LuB3O9 at its relaxed geometry. The functional is GGA-PBE.

Cell and atoms, written as POSCAR:
```
Ba3LuB3O9
1.0
4.724 -8.183 0.000
4.724 8.183 0.000
0.000 0.000 17.882
Ba Lu B O
18 6 18 54
Cartesian
6.445 0.000 15.584
3.223 5.582 6.643
3.223 -5.582 6.643
1.502 -2.601 15.584
1.502 2.601 15.584
3.004 0.000 6.643
6.161 0.000 11.258
3.081 5.336 2.316
3.081 -5.336 2.316
1.644 -2.847 11.258
1.644 2.847 11.258
3.288 0.000 2.316
4.724 2.728 4.965
4.724 -2.728 13.906
4.724 2.728 13.906
4.724 -2.728 4.965
0.000 0.000 12.826
0.000 0.000 3.884
4.724 2.728 17.835
4.724 -2.728 8.894
4.724 2.728 8.894
4.724 -2.728 17.835
0.000 0.000 9.004
0.000 0.000 0.063
6.240 0.000 7.580
3.120 5.404 16.521
3.120 -5.404 16.521
1.604 -2.778 7.580
1.604 2.778 7.580
3.208 0.000 16.521
6.307 0.000 4.462
3.153 5.462 13.404
3.153 -5.462 13.404
1.571 -2.721 4.462
1.571 2.721 4.462
3.142 0.000 13.404
6.359 0.000 1.287
3.180 5.507 10.228
3.180 -5.507 10.228
1.545 -2.675 1.287
1.545 2.675 1.287
3.089 0.000 10.228
7.628 0.000 7.746
3.814 6.606 16.687
3.814 -6.606 16.687
0.910 -1.577 7.746
0.910 1.577 7.746
1.820 0.000 16.687
3.822 -4.205 16.429
6.454 -2.770 16.429
3.896 -1.208 16.429
5.552 1.208 7.488
5.626 4.205 7.488
2.994 2.770 7.488
5.552 -1.208 7.488
3.822 4.205 16.429
6.454 2.770 16.429
2.994 -2.770 7.488
5.626 -4.205 7.488
3.896 1.208 16.429
4.912 0.000 4.459
2.456 4.254 13.400
2.456 -4.254 13.400
2.268 -3.929 4.459
2.268 3.929 4.459
4.537 0.000 13.400
4.547 -5.461 13.412
7.180 -1.514 13.412
2.446 -1.208 13.412
7.003 1.208 4.470
4.901 5.461 4.470
2.269 1.514 4.470
7.003 -1.208 4.470
4.547 5.461 13.412
7.180 1.514 13.412
2.269 -1.514 4.470
4.901 -5.461 4.470
2.446 1.208 13.412
3.876 -4.305 10.148
6.515 -2.674 10.148
3.783 -1.204 10.148
5.666 1.204 1.206
5.573 4.305 1.206
2.934 2.674 1.206
5.666 -1.204 1.206
3.876 4.305 10.148
6.515 2.674 10.148
2.934 -2.674 1.206
5.573 -4.305 1.206
3.783 1.204 10.148
7.741 0.000 1.456
3.870 6.704 10.397
3.870 -6.704 10.397
0.854 -1.479 1.456
0.854 1.479 1.456
1.708 0.000 10.397
```

Energy of formation from the pure elements = -3.32 eV per atom
Total magnetization = 0.001 μB/atom
DFT total energy = -7.6126 eV/atom


No. 4
This record from the Materials Project describes crystalline BaMg6B at its relaxed geometry. The functional is GGA-PBE.

Cell and atoms, written as POSCAR:
```
BaMg6B
1.0
3.150 -8.127 0.000
3.150 8.127 0.000
0.000 0.000 3.961
Ba Mg B
1 6 1
Cartesian
3.150 4.481 0.000
1.730 1.414 0.000
4.569 1.414 0.000
3.150 -2.398 0.000
1.563 -0.697 1.980
4.736 -0.697 1.980
3.150 -4.996 1.980
3.150 1.478 1.980
```

Energy of formation from the pure elements = 0.28 eV per atom
Total magnetization = 0.000 μB/atom
DFT total energy = -1.9942 eV/atom


No. 5
This record from the Materials Project describes crystalline BaMg6B at its relaxed geometry. The functional is GGA-PBE.

Cell and atoms, written as POSCAR:
```
BaMg6B
1.0
-2.956 -2.773 -6.828
2.762 -3.141 6.750
-4.351 0.119 1.835
Ba Mg B
1 6 1
Cartesian
-3.963 -2.789 -3.134
-2.535 -1.371 0.156
-2.634 -4.384 0.117
0.389 -1.611 1.026
0.299 -4.359 0.990
-0.810 -2.911 -1.731
1.638 -3.068 4.080
-1.861 -2.924 1.855
```

Energy of formation from the pure elements = 0.29 eV per atom
Total magnetization = 0.000 μB/atom
DFT total energy = -1.9807 eV/atom


No. 6
This record from the Materials Project describes crystalline Ba3BN3 at its relaxed geometry. The functional is GGA-PBE.

Cell and atoms, written as POSCAR:
```
Ba3BN3
1.0
-5.250 -4.495 -4.964
4.214 -3.843 6.315
-3.947 1.018 3.253
Ba B N
6 2 6
Cartesian
-3.360 -6.534 0.058
-4.376 -2.912 -2.308
-1.511 -2.623 1.077
-1.623 -0.785 4.547
-0.607 -4.408 6.913
-3.472 -4.697 3.527
-5.056 -3.514 1.236
0.073 -3.806 3.369
-5.185 -4.999 1.544
-5.845 -2.904 0.086
-4.137 -2.639 2.077
0.202 -2.320 3.061
0.863 -4.416 4.518
-0.846 -4.680 2.528
```

Energy of formation from the pure elements = -0.82 eV per atom
Total magnetization = 0.000 μB/atom
DFT total energy = -6.0173 eV/atom


No. 7
This record from the Materials Project describes crystalline Ba3B3N5 at its relaxed geometry. The functional is GGA-PBE.

Cell and atoms, written as POSCAR:
```
Ba3B3N5
1.0
-5.056 -5.362 0.515
3.712 -2.829 4.769
1.631 11.114 3.542
Ba B N
6 6 10
Cartesian
-1.436 2.520 3.961
1.723 0.404 4.866
1.826 4.011 7.562
-1.539 -1.088 1.264
-0.796 -2.565 4.628
1.083 5.488 4.199
-3.127 -5.885 2.540
3.413 8.808 6.286
-0.164 -0.744 6.881
0.450 3.667 1.946
3.837 6.192 6.607
-3.550 -3.268 2.219
0.811 8.165 2.884
-0.524 -5.242 5.943
-1.166 -0.050 5.907
1.453 2.973 2.919
-0.483 4.115 6.095
0.770 -1.191 2.731
-0.636 4.528 2.233
0.923 -1.605 6.593
3.250 7.488 6.780
-2.964 -4.565 2.046
```

Energy of formation from the pure elements = -1.12 eV per atom
Total magnetization = 0.000 μB/atom
DFT total energy = -7.0878 eV/atom


No. 8
This record from the Materials Project describes crystalline Ba7SiB3NO13 at its relaxed geometry. The functional is GGA-PBE.

Cell and atoms, written as POSCAR:
```
Ba7SiB3NO13
1.0
5.669 -9.819 0.000
5.669 9.819 0.000
0.000 0.000 7.479
Ba Si B N O
14 2 6 2 26
Cartesian
5.589 7.239 1.455
3.237 4.689 6.373
8.111 4.671 6.373
2.273 1.221 1.455
5.669 3.273 3.668
5.659 0.459 6.373
2.194 -1.358 5.195
9.143 1.358 1.455
5.679 -0.459 2.634
9.064 -1.221 5.195
3.227 -4.671 2.634
5.669 -3.273 7.408
8.100 -4.689 2.634
5.748 -7.239 5.195
5.669 3.273 0.619
5.669 -3.273 4.358
5.606 6.279 4.786
3.097 1.715 4.786
8.304 1.824 4.786
3.033 -1.824 1.047
8.241 -1.715 1.047
5.732 -6.279 1.047
0.000 0.000 3.587
0.000 0.000 7.326
5.700 6.931 6.009
4.353 5.987 4.235
6.750 5.904 4.073
4.705 4.481 1.205
2.849 2.893 4.073
2.485 1.471 6.009
5.669 3.273 6.429
7.197 3.503 1.205
5.104 1.834 1.205
3.976 0.776 4.235
8.678 3.056 4.235
2.516 -1.416 2.269
3.930 -1.021 0.333
7.407 1.021 4.073
8.821 1.416 6.009
2.660 -3.056 0.496
7.361 -0.776 0.496
6.234 -1.834 4.945
4.141 -3.503 4.945
8.853 -1.471 2.269
5.669 -3.273 2.689
8.488 -2.893 0.333
6.632 -4.481 4.945
4.588 -5.904 0.333
6.985 -5.987 0.496
5.637 -6.931 2.269
```

Energy of formation from the pure elements = -2.92 eV per atom
Total magnetization = 0.080 μB/atom
DFT total energy = -7.0263 eV/atom


No. 9
This record from the Materials Project describes crystalline Ba7SiB3NO13 at its relaxed geometry. The functional is GGA-PBE.

Cell and atoms, written as POSCAR:
```
Ba7SiB3NO13
1.0
11.473 -0.113 0.000
-5.834 9.851 0.000
0.000 0.000 7.452
Ba Si B N O
14 2 6 2 26
Cartesian
-3.489 8.430 1.404
-2.562 5.234 6.365
-0.229 9.327 6.362
0.013 2.565 1.299
-0.008 6.509 3.671
2.439 5.118 6.368
2.274 1.176 5.038
3.364 8.562 1.312
3.199 4.620 2.642
5.626 7.173 5.025
5.868 0.411 2.636
5.647 3.229 7.397
8.201 4.504 2.639
9.128 1.308 5.130
-0.029 6.507 0.619
5.668 3.231 4.345
-2.655 7.969 4.717
0.028 3.498 4.803
2.543 8.049 4.811
3.096 1.690 1.085
5.611 6.240 1.077
8.294 1.770 0.991
0.004 0.005 3.704
5.635 9.733 7.430
-3.035 8.368 5.991
-3.130 6.768 4.183
-1.771 8.742 3.962
-1.566 6.343 1.209
-1.142 3.944 4.175
-0.024 2.703 5.939
-0.040 6.493 6.412
0.599 7.929 1.185
0.890 5.260 1.201
1.266 3.858 4.266
1.575 8.949 4.361
2.346 1.419 2.221
2.892 2.876 0.367
2.747 6.862 4.094
3.293 8.319 5.948
4.063 0.789 0.635
4.373 5.880 0.540
4.749 4.478 4.927
5.039 1.810 4.911
5.663 7.036 2.213
5.679 3.246 2.686
6.781 5.794 0.449
7.205 3.395 4.936
7.410 0.997 0.236
8.768 2.970 0.457
8.674 1.371 2.264
```

Energy of formation from the pure elements = -2.93 eV per atom
Total magnetization = 0.080 μB/atom
DFT total energy = -7.0340 eV/atom


No. 10
This record from the Materials Project describes crystalline Ba3NaB24 at its relaxed geometry. The functional is GGA-PBE.

Cell and atoms, written as POSCAR:
```
Ba3NaB24
1.0
4.256 0.000 0.000
0.000 4.256 0.000
0.000 0.000 16.968
Ba Na B
3 1 24
Cartesian
0.000 0.000 4.167
0.000 0.000 8.484
0.000 0.000 12.802
0.000 0.000 0.000
0.861 2.128 2.085
0.870 2.128 6.359
0.870 2.128 10.610
0.861 2.128 14.883
2.128 2.128 3.354
2.128 2.128 7.616
2.128 2.128 11.874
2.128 2.128 16.135
2.128 0.861 2.085
2.128 0.870 6.359
2.128 0.870 10.610
2.128 0.861 14.883
2.128 2.128 0.834
2.128 2.128 5.094
2.128 2.128 9.352
2.128 2.128 13.614
2.128 3.395 2.085
2.128 3.386 6.359
2.128 3.386 10.610
2.128 3.395 14.883
3.395 2.128 2.085
3.386 2.128 6.359
3.386 2.128 10.610
3.395 2.128 14.883
```

Energy of formation from the pure elements = -0.31 eV per atom
Total magnetization = 0.000 μB/atom
DFT total energy = -6.2910 eV/atom


No. 11
This record from the Materials Project describes crystalline BaNaBO3 at its relaxed geometry. The functional is GGA-PBE.

Cell and atoms, written as POSCAR:
```
BaNaBO3
1.0
-4.504 1.862 2.769
-0.787 -1.501 5.343
2.663 5.000 2.687
Ba Na B O
2 2 2 6
Cartesian
-3.760 1.512 7.405
1.132 3.849 3.394
-1.314 2.681 5.399
-2.645 0.181 4.056
-2.407 4.057 8.776
-0.221 1.304 2.022
-1.563 0.300 6.185
1.066 3.133 6.089
-1.064 5.061 4.614
-3.694 2.228 4.710
-1.921 3.641 7.532
-0.706 1.720 3.267
```

Energy of formation from the pure elements = -2.85 eV per atom
Total magnetization = 0.000 μB/atom
DFT total energy = -6.6388 eV/atom